A plane-wave DFT calculation with GGA-PBE was carried out for a geometry-optimized TmMg2 structure.

Lattice parameters (Å, degrees): 5.9723 5.9723 5.9723 60.00 60.00 60.00
Fractional positions:
Tm: 0.1250 0.1250 0.1250
Tm: 0.8750 0.8750 0.8750
Mg: 0.0000 0.5000 0.5000
Mg: 0.5000 0.0000 0.5000
Mg: 0.5000 0.5000 0.0000
Mg: 0.5000 0.5000 0.5000

**Total DFT energy (no corrections)**: -15.64 eV for the cell shown
**Crystal system**: cubic
**E_form**: -0.048 eV/atom
**Symmetry**: Fd-3m
**Theoretical density**: 4.8 g/cm³